# SnHg2S2Br2, relaxed, DFT PBE-GGA
# - Crystal system: monoclinic
# - E_tot: -2.66 eV per atom
data_SnHg2S2Br2
_chemical_formula_sum 'Sn4 Hg8 S8 Br8'
_space_group_name_H-M_alt 'P 1 21/c 1'
_space_group_IT_number 14
_space_group_name_Hall '-P 2ybc'
_cell_length_a 10.465
_cell_length_b 9.035
_cell_length_c 14.492
_cell_angle_alpha 90.00
_cell_angle_beta 110.56
_cell_angle_gamma 90.00
loop_
_atom_site_label
_atom_site_type_symbol
_atom_site_fract_x
_atom_site_fract_y
_atom_site_fract_z
Sn1 Sn 0.147 0.122 0.465
Hg1 Hg 0.318 0.070 0.184
Hg2 Hg 0.453 0.173 0.885
S1 S 0.253 0.185 0.308
S2 S 0.346 0.531 0.542
Br1 Br 0.056 0.655 0.923
Br2 Br 0.379 0.054 0.611

=====

# Hf2Au, relaxed, DFT PBE-GGA
# - Crystal system: tetragonal
# - E_tot: -8.17 eV per atom
data_Hf2Au
_chemical_formula_sum 'Hf4 Au2'
_space_group_name_H-M_alt 'I 4/m m m'
_space_group_IT_number 139
_space_group_name_Hall '-I 4 2'
_cell_length_a 3.246
_cell_length_b 3.246
_cell_length_c 11.746
_cell_angle_alpha 90.00
_cell_angle_beta 90.00
_cell_angle_gamma 90.00
loop_
_atom_site_label
_atom_site_type_symbol
_atom_site_fract_x
_atom_site_fract_y
_atom_site_fract_z
Hf1 Hf 0.000 0.000 0.163
Au1 Au 0.000 0.000 0.500

=====

# TaAuN2, relaxed, DFT PBE-GGA
# - Crystal system: orthorhombic
# - E_tot: -8.27 eV per atom
data_TaAuN2
_chemical_formula_sum 'Ta16 Au16 N32'
_space_group_name_H-M_alt 'P b c a'
_space_group_IT_number 61
_space_group_name_Hall '-P 2ac 2ab'
_cell_length_a 6.351
_cell_length_b 12.529
_cell_length_c 13.584
_cell_angle_alpha 90.00
_cell_angle_beta 90.00
_cell_angle_gamma 90.00
loop_
_atom_site_label
_atom_site_type_symbol
_atom_site_fract_x
_atom_site_fract_y
_atom_site_fract_z
Ta1 Ta 0.186 0.024 0.188
Ta2 Ta 0.235 0.721 0.563
Au1 Au 0.156 0.229 0.315
Au2 Au 0.215 0.522 0.437
N1 N 0.073 0.233 0.960
N2 N 0.116 0.011 0.793
N3 N 0.195 0.181 0.170
N4 N 0.212 0.067 0.582

=====

# Dy3InN, relaxed, DFT PBE-GGA
# - Crystal system: cubic
# - E_tot: -5.98 eV per atom
data_Dy3InN
_chemical_formula_sum 'Dy3 In1 N1'
_space_group_name_H-M_alt 'P m -3 m'
_space_group_IT_number 221
_space_group_name_Hall '-P 4 2 3'
_cell_length_a 4.819
_cell_length_b 4.819
_cell_length_c 4.819
_cell_angle_alpha 90.00
_cell_angle_beta 90.00
_cell_angle_gamma 90.00
loop_
_atom_site_label
_atom_site_type_symbol
_atom_site_fract_x
_atom_site_fract_y
_atom_site_fract_z
Dy1 Dy 0.000 0.000 0.500
In1 In 0.500 0.500 0.500
N1 N 0.000 0.000 0.000

=====

# CeFeNi4, relaxed, DFT PBE-GGA
# - Crystal system: hexagonal
# - E_tot: -6.43 eV per atom
data_CeFeNi4
_chemical_formula_sum 'Ce1 Fe1 Ni4'
_space_group_name_H-M_alt 'P -6 m 2'
_space_group_IT_number 187
_space_group_name_Hall 'P -6 2'
_cell_length_a 4.9502
_cell_length_b 4.9502
_cell_length_c 4.0617
_cell_angle_alpha 90.00
_cell_angle_beta 90.00
_cell_angle_gamma 120.00
loop_
_atom_site_label
_atom_site_type_symbol
_atom_site_fract_x
_atom_site_fract_y
_atom_site_fract_z
Ce1 Ce 0.0000 0.0000 0.0000
Fe1 Fe 0.3333 0.6667 0.0000
Ni1 Ni 0.9999 0.5000 0.5000
Ni2 Ni 0.6667 0.3333 0.0000

=====

# LiIn2Pd, relaxed, DFT PBE-GGA
# - Crystal system: cubic
# - E_tot: -3.60 eV per atom
data_LiIn2Pd
_chemical_formula_sum 'Li4 In8 Pd4'
_space_group_name_H-M_alt 'F m -3 m'
_space_group_IT_number 225
_space_group_name_Hall '-F 4 2 3'
_cell_length_a 6.640
_cell_length_b 6.640
_cell_length_c 6.640
_cell_angle_alpha 90.00
_cell_angle_beta 90.00
_cell_angle_gamma 90.00
loop_
_atom_site_label
_atom_site_type_symbol
_atom_site_fract_x
_atom_site_fract_y
_atom_site_fract_z
Li1 Li 0.000 0.000 0.000
In1 In 0.250 0.250 0.250
Pd1 Pd 0.000 0.000 0.500

=====

# LiCu2B2H8Cl2O8, relaxed, DFT PBE-GGA
# - Crystal system: tetragonal
# - E_tot: -5.34 eV per atom
data_LiCu2B2H8Cl2O8
_chemical_formula_sum 'Li1 Cu2 B2 H8 Cl2 O8'
_space_group_name_H-M_alt 'P -4'
_space_group_IT_number 81
_space_group_name_Hall 'P -4'
_cell_length_a 6.418
_cell_length_b 6.418
_cell_length_c 5.398
_cell_angle_alpha 90.00
_cell_angle_beta 90.00
_cell_angle_gamma 90.00
loop_
_atom_site_label
_atom_site_type_symbol
_atom_site_fract_x
_atom_site_fract_y
_atom_site_fract_z
Li1 Li 0.000 0.000 0.000
Cu1 Cu 0.000 0.500 0.365
B1 B 0.000 0.000 0.500
B2 B 0.500 0.500 0.500
H1 H 0.170 0.223 0.684
H2 H 0.324 0.648 0.760
Cl1 Cl 0.000 0.500 0.851
O1 O 0.069 0.828 0.335
O2 O 0.318 0.445 0.344

=====

# V2ReOs, relaxed, DFT PBE-GGA
# - Crystal system: cubic
# - E_tot: -10.78 eV per atom
data_V2ReOs
_chemical_formula_sum 'V8 Re4 Os4'
_space_group_name_H-M_alt 'F m -3 m'
_space_group_IT_number 225
_space_group_name_Hall '-F 4 2 3'
_cell_length_a 6.062
_cell_length_b 6.062
_cell_length_c 6.062
_cell_angle_alpha 90.00
_cell_angle_beta 90.00
_cell_angle_gamma 90.00
loop_
_atom_site_label
_atom_site_type_symbol
_atom_site_fract_x
_atom_site_fract_y
_atom_site_fract_z
V1 V 0.250 0.250 0.250
Re1 Re 0.000 0.000 0.000
Os1 Os 0.000 0.000 0.500

=====

| no. | DFT formation energy (kcal/mol of atoms) |
| --- | --- |
| 1 | -14.933 |
| 2 | -10.116 |
| 3 | -11.447 |
| 4 | -24.650 |
| 5 | -4.076 |
| 6 | -10.347 |
| 7 | -34.536 |
| 8 | -7.315 |